{
  "formula": "Ga3Pb",
  "functional": "PBE",
  "state": "optimized geometry",
  "lattice": [[4.526, 0.000, 0.000], [0.000, 4.526, 0.000], [0.000, 0.000, 4.526]],
  "species": ["Ga", "Ga", "Pb", "Ga"],
  "frac_coords": [[0.000, 0.500, 0.500], [0.500, 0.500, 0.000], [0.000, 0.000, 0.000], [0.500, 0.000, 0.500]],
  "magnetic_moment_mub_per_cell": 0.001,
  "final_energy_ev_per_atom": -3.11
}